[1]
Mg6VCr: relaxed, PBE.

Lattice parameters (Å, degrees): 4.996 6.197 10.673 90.00 90.00 90.00
Fractional coordinates of all 16 atoms:
Mg 0.500 0.260 0.413
Mg 0.000 0.241 0.586
Mg 0.500 0.740 0.413
Mg 0.000 0.741 0.086
Mg 0.000 0.500 0.835
Mg 0.000 0.259 0.086
Mg 0.500 0.500 0.665
Mg 0.500 0.000 0.165
Mg 0.500 0.240 0.913
Mg 0.500 0.760 0.913
Mg 0.000 0.759 0.586
Mg 0.000 0.000 0.335
V 0.000 0.500 0.336
V 0.000 0.000 0.836
Cr 0.500 0.000 0.666
Cr 0.500 0.500 0.166

Output
The calculation puts the total energy at -3.2259 eV per atom. Its density is 2500 kg/m3. The total moment is 7.05 μB/f.u.

=====

[2]
Li2PmSi: relaxed, PBE.

Lattice parameters (Å, degrees): 4.618 4.618 4.618 60.00 60.00 60.00
Fractional coordinates of all 4 atoms:
Li 0.250 0.250 0.250
Li 0.750 0.750 0.750
Pm 0.000 0.000 0.000
Si 0.500 0.500 0.500

Output
The value obtained for the total energy after the MP2020 corrections is -3.78 eV per atom. Its density is 4458 kg/m3.

=====

[3]
DyInRh: relaxed, PBE.

Lattice parameters (Å, degrees): 7.537 7.537 3.935 90.00 90.00 120.00
Fractional coordinates of all 9 atoms:
Dy 0.000 0.593 0.000
Dy 0.407 0.407 0.000
Dy 0.593 0.000 0.000
In 0.000 0.256 0.500
In 0.256 0.000 0.500
In 0.744 0.744 0.500
Rh 0.000 0.000 0.000
Rh 0.333 0.667 0.500
Rh 0.667 0.333 0.500

Output
The calculation puts the total energy at -5.6588 eV per atom. Its density is 9785 kg/m3.

=====

[4]
LiEu2CBr3N2: relaxed, PBE.

Lattice parameters (Å, degrees): 10.337 10.337 10.337 60.00 60.00 60.00
Fractional coordinates of all 36 atoms:
Li 0.000 0.000 0.000
Li 0.000 0.000 0.500
Li 0.000 0.500 0.000
Li 0.500 0.000 0.000
Eu 0.279 0.279 0.279
Eu 0.279 0.279 0.664
Eu 0.279 0.664 0.279
Eu 0.336 0.721 0.721
Eu 0.664 0.279 0.279
Eu 0.721 0.336 0.721
Eu 0.721 0.721 0.336
Eu 0.721 0.721 0.721
C 0.000 0.500 0.500
C 0.500 0.000 0.500
C 0.500 0.500 0.000
C 0.500 0.500 0.500
Br 0.072 0.072 0.678
Br 0.072 0.678 0.072
Br 0.072 0.678 0.678
Br 0.322 0.322 0.928
Br 0.322 0.928 0.322
Br 0.322 0.928 0.928
Br 0.678 0.072 0.072
Br 0.678 0.072 0.678
Br 0.678 0.678 0.072
Br 0.928 0.322 0.322
Br 0.928 0.322 0.928
Br 0.928 0.928 0.322
N 0.146 0.451 0.451
N 0.451 0.146 0.451
N 0.451 0.451 0.146
N 0.451 0.451 0.451
N 0.549 0.549 0.549
N 0.549 0.549 0.854
N 0.549 0.854 0.549
N 0.854 0.549 0.549

Output
The value obtained for the total energy after the MP2020 corrections is -7.41 eV per atom. Its density is 5023 kg/m3. The total moment is 14.00 μB/f.u.

=====

density of number 2 (Li2PmSi)? 4458 kg/m3